Record 1
Below is BaRhO3 after structural relaxation, with properties calculated at the r2SCAN level.

Properties
calculated density	6.87	Mg/m³
energy relative to the elements	-1829	meV per atom

Unit cell a=5.7715 b=5.7715 c=9.6542 alpha=90.00 beta=90.00 gamma=120.00
Fractional coordinates of all 20 atoms:
Ba  0.3333  0.6667  0.2500
O  0.5000  0.5000  0.0000
O  0.1828  0.3655  0.7500
O  0.1828  0.8172  0.7500
Rh  0.6667  0.3333  0.1136
O  0.8172  0.1828  0.2500
Rh  0.3333  0.6667  0.6136
Ba  0.0000  0.0000  0.5000
O  0.0000  0.5000  0.5000
Ba  0.0000  0.0000  0.0000
Rh  0.6667  0.3333  0.3863
O  0.5000  0.0000  0.5000
O  0.8172  0.6344  0.2500
O  0.3656  0.1828  0.2500
Ba  0.6667  0.3333  0.7500
O  0.6345  0.8172  0.7500
O  0.0000  0.5000  0.0000
Rh  0.3333  0.6667  0.8865
O  0.5000  0.5000  0.5000
O  0.5000  0.0000  0.0000



Record 2
Below is Nd2BiO2 after structural relaxation, with properties calculated at the r2SCAN level.

Properties
calculated density	7.84	Mg/m³
energy relative to the elements	-2850	meV per atom

Unit cell a=7.5329 b=7.5329 c=7.5329 alpha=149.15 beta=149.15 gamma=44.20
Fractional coordinates of all 5 atoms:
O  0.2500  0.7500  0.5000
Nd  0.6654  0.6654  0.0000
Nd  0.3346  0.3346  0.0000
O  0.7500  0.2500  0.5000
Bi  0.0000  0.0000  0.0000